[1]
A plane-wave DFT calculation with PBE-GGA was carried out for a geometry-optimized Li5NCl2 structure.

abc: 9.8594 9.8594 9.8594
angles: 21.36 21.36 21.36
Last column: nearest neighbours and their distance in Å.
Element x y z (fractional)
N 0.0000 0.0000 0.0000  8 Li 1.94-2.12
Cl 0.7818 0.7818 0.7818  6 Li 2.53-2.58
Cl 0.2182 0.2182 0.2182  6 Li 2.53-2.58
Li 0.3255 0.3255 0.3255  3 N 2.12, 3 Li 2.16
Li 0.6745 0.6745 0.6745  3 N 2.12, 3 Li 2.16
Li 0.9330 0.9330 0.9330  1 N 1.94
Li 0.5000 0.5000 0.5000  6 Cl 2.58
Li 0.0670 0.0670 0.0670  1 N 1.94

Symmetry: R-3m
Calculated total energy (eV/cell): -30.4
Crystal system: trigonal
Energy of formation (eV/atom): -1.25

***

[2]
A plane-wave DFT calculation with PBE-GGA was carried out for a geometry-optimized LuScIr2 structure.

abc: 4.6617 4.6617 4.6617
angles: 60.00 60.00 60.00
Last column: nearest neighbours and their distance in Å.
Element x y z (fractional)
Lu 0.2500 0.2500 0.2500  8 Ir 2.85
Ir 0.5000 0.5000 0.5000  4 Lu 2.85, 4 Sc 2.85
Ir 0.0000 0.0000 0.0000  4 Sc 2.85, 4 Lu 2.85
Sc 0.7500 0.7500 0.7500  8 Ir 2.85

Symmetry: Fm-3m
Calculated total energy (eV/cell): -32.5
Crystal system: cubic
Energy of formation (eV/atom): -0.99

***

[3]
A plane-wave DFT calculation with PBE-GGA was carried out for a geometry-optimized SrMn2Ge2 structure.

abc: 4.0818 4.0818 6.4467
angles: 108.46 108.46 90.00
Last column: nearest neighbours and their distance in Å.
Element x y z (fractional)
Sr 0.0000 0.0000 0.0000  8 Ge 3.27, 8 Mn 3.53
Ge 0.6338 0.6338 0.2675  4 Mn 2.44
Ge 0.3662 0.3662 0.7325  4 Mn 2.44
Mn 0.7500 0.2500 0.5000  4 Ge 2.44
Mn 0.2500 0.7500 0.5000  4 Ge 2.44

Symmetry: I4/mmm
Calculated total energy (eV/cell): -30.7
Crystal system: tetragonal
Energy of formation (eV/atom): -0.30

***

[4]
A plane-wave DFT calculation with PBE-GGA was carried out for a geometry-optimized Mg6TiCdO8 structure.

abc: 8.8010 4.3744 4.3744
angles: 90.00 90.00 90.00
Last column: nearest neighbours and their distance in Å.
Element x y z (fractional)
Mg 0.7413 0.0000 0.5000  6 O 2.12-2.28
Mg 0.5000 0.5000 0.5000  6 O 2.04-2.19
Mg 0.5000 0.0000 0.0000  6 O 2.16-2.19
Mg 0.2587 0.5000 0.0000  6 O 2.12-2.28
Mg 0.2587 0.0000 0.5000  6 O 2.12-2.28
Mg 0.7413 0.5000 0.0000  6 O 2.12-2.28
O 0.7320 0.5000 0.5000  5 Mg 2.04-2.19
O 0.5000 0.0000 0.5000  6 Mg 2.12-2.19
O 0.0000 0.5000 0.0000  2 Cd 2.19, 2 Ti 2.19, 2 Mg 2.28
O 0.5000 0.5000 0.0000  6 Mg 2.12-2.19
O 0.2680 0.5000 0.5000  5 Mg 2.04-2.19
O 0.0000 0.0000 0.5000  2 Cd 2.19, 2 Ti 2.19, 2 Mg 2.28
O 0.2543 0.0000 0.0000  5 Mg 2.16-2.19, 1 Ti 2.24
O 0.7457 0.0000 0.0000  5 Mg 2.16-2.19, 1 Ti 2.24
Cd 0.0000 0.5000 0.5000  6 O 2.19-2.36
Ti 0.0000 0.0000 0.0000  6 O 2.19-2.24

Symmetry: P4/mmm
Calculated total energy (eV/cell): -95.2
Crystal system: tetragonal
Energy of formation (eV/atom): -2.67

***

[5]
A plane-wave DFT calculation with PBE-GGA was carried out for a geometry-optimized Cs2AlHgCl6 structure.

abc: 7.5362 7.5362 7.5362
angles: 60.00 60.00 60.00
Last column: nearest neighbours and their distance in Å.
Element x y z (fractional)
Cl 0.2222 0.2222 0.7778  1 Al 2.37
Cl 0.7778 0.2222 0.7778  1 Al 2.37
Cl 0.7778 0.2222 0.2222  1 Al 2.37
Cl 0.2222 0.7778 0.7778  1 Al 2.37
Cl 0.2222 0.7778 0.2222  1 Al 2.37
Cl 0.7778 0.7778 0.2222  1 Al 2.37
Cs 0.2500 0.2500 0.2500  12 Cl 3.78
Cs 0.7500 0.7500 0.7500  12 Cl 3.78
Al 0.0000 0.0000 0.0000  6 Cl 2.37
Hg 0.5000 0.5000 0.5000  6 Cl 2.96

Symmetry: Fm-3m
Calculated total energy (eV/cell): -31.5
Crystal system: cubic
Energy of formation (eV/atom): -1.83

***

[6]
A plane-wave DFT calculation with PBE-GGA was carried out for a geometry-optimized Ba3P4 structure.

abc: 11.8856 9.7264 8.1322
angles: 82.93 54.30 42.77
Last column: nearest neighbours and their distance in Å.
Element x y z (fractional)
P 0.8059 0.5425 0.0005  1 P 2.24
P 0.1744 0.8195 0.6701  2 P 2.24-2.34
P 0.3360 0.6701 0.8195  2 P 2.24-2.34
P 0.6512 0.0005 0.5425  1 P 2.24
P 0.2495 0.5988 0.4441  1 P 2.24
P 0.7075 0.4441 0.5988  1 P 2.24
P 0.4305 0.0756 0.9140  2 P 2.24-2.34
P 0.5799 0.9140 0.0756  2 P 2.24-2.34
Ba 0.0804 0.5824 0.9287  8 P 3.27-3.51
Ba 0.4085 0.9287 0.5824  8 P 3.27-3.51
Ba 0.7464 0.2536 0.2536  8 P 3.17-3.53
Ba 0.3213 0.8415 0.1696  8 P 3.27-3.51
Ba 0.6676 0.1696 0.8415  8 P 3.27-3.51
Ba 0.9964 0.5036 0.5036  8 P 3.17-3.53

Symmetry: Fdd2
Calculated total energy (eV/cell): -68.1
Crystal system: orthorhombic
Energy of formation (eV/atom): -0.95
Piezoelectric modulus e_max (C/m²): 0.3

***

[7]
A plane-wave DFT calculation with PBE-GGA was carried out for a geometry-optimized TlInP2S6 structure.

abc: 9.3010 6.7052 8.9845
angles: 89.92 90.00 90.00
Last column: nearest neighbours and their distance in Å.
Element x y z (fractional)
S 0.1686 0.2067 0.4304  1 P 2.04
S 0.9383 0.3977 0.6940  1 P 2.07
S 0.2303 0.3042 0.0016  1 P 1.98
S 0.4612 0.1221 0.7336  1 P 2.08
S 0.0434 0.9297 0.7280  1 P 2.06
S 0.5434 0.0703 0.2720  1 P 2.06
S 0.4383 0.6023 0.3060  1 P 2.07
S 0.7303 0.6958 0.9984  1 P 1.98
S 0.3347 0.5764 0.6906  1 P 2.02
S 0.9612 0.8779 0.2664  1 P 2.08
S 0.8347 0.4236 0.3094  1 P 2.02
S 0.6686 0.7933 0.5696  1 P 2.04
P 0.1047 0.2039 0.6473  3 S 2.04-2.07
P 0.2932 0.3127 0.7907  3 S 1.98-2.08
P 0.7932 0.6873 0.2093  3 S 1.98-2.08
P 0.6047 0.7961 0.3527  3 S 2.04-2.07
Tl 0.8004 0.2063 0.0041  4 S 3.12-3.49
Tl 0.3004 0.7937 0.9959  4 S 3.12-3.49
In 0.4353 0.2997 0.4809  5 S 2.56-2.81
In 0.9353 0.7003 0.5191  5 S 2.56-2.81

Symmetry: P2_1
Calculated total energy (eV/cell): -88.1
Crystal system: monoclinic
Energy of formation (eV/atom): -0.63

***

[8]
A plane-wave DFT calculation with PBE-GGA was carried out for a geometry-optimized CeSe2 structure.

abc: 15.6895 15.6895 15.6895
angles: 94.24 94.24 94.24
Last column: nearest neighbours and their distance in Å.
Element x y z (fractional)
Se 0.7374 0.0000 0.2626  2 Ce 2.72
Se 0.2490 0.2490 0.8900  2 Ce 2.72
Se 0.6805 0.9779 0.9779  2 Ce 2.72
Se 0.9779 0.9779 0.6805  2 Ce 2.72
Se 0.8900 0.2490 0.2490  2 Ce 2.72
Se 0.0000 0.2626 0.7374  2 Ce 2.72
Se 0.1461 0.5000 0.8538  2 Ce 2.72
Se 0.5000 0.8538 0.1461  2 Ce 2.72
Se 0.8538 0.5000 0.1461  2 Ce 2.72
Se 0.7510 0.7510 0.1100  2 Ce 2.72
Se 0.0221 0.3195 0.0221  2 Ce 2.72
Se 0.2626 0.7374 0.0000  2 Ce 2.72
Se 0.0000 0.7374 0.2626  2 Ce 2.72
Se 0.9779 0.6805 0.9779  2 Ce 2.72
Se 0.5000 0.1461 0.8538  2 Ce 2.72
Se 0.7374 0.2626 0.0000  2 Ce 2.72
Se 0.3195 0.0221 0.0221  2 Ce 2.72
Se 0.1461 0.8538 0.5000  2 Ce 2.72
Se 0.2490 0.8900 0.2490  2 Ce 2.72
Se 0.1100 0.7510 0.7510  2 Ce 2.72
Se 0.0221 0.0221 0.3195  2 Ce 2.72
Se 0.8538 0.1461 0.5000  2 Ce 2.72
Se 0.2626 0.0000 0.7374  2 Ce 2.72
Se 0.7510 0.1100 0.7510  2 Ce 2.72
Ce 0.1244 0.6676 0.8965  4 Se 2.72
Ce 0.3324 0.8756 0.1035  4 Se 2.72
Ce 0.3324 0.1035 0.8756  4 Se 2.72
Ce 0.6676 0.1244 0.8965  4 Se 2.72
Ce 0.8756 0.3324 0.1035  4 Se 2.72
Ce 0.8965 0.1244 0.6676  4 Se 2.72
Ce 0.6676 0.8965 0.1244  4 Se 2.72
Ce 0.1244 0.8965 0.6676  4 Se 2.72
Ce 0.8756 0.1035 0.3324  4 Se 2.72
Ce 0.8965 0.6676 0.1244  4 Se 2.72
Ce 0.1035 0.3324 0.8756  4 Se 2.72
Ce 0.1035 0.8756 0.3324  4 Se 2.72

Symmetry: R-3m
Calculated total energy (eV/cell): -194.1
Crystal system: trigonal
Energy of formation (eV/atom): -1.40